## YSnF7 (PBE)

Data for a relaxed YSnF7 crystal.

Geometry as POSCAR:
```
YSnF7
1.0
-2.154 -2.133 -4.802
1.441 -8.346 3.061
-8.907 -5.258 6.332
Y Sn F
4 4 28
direct
0.758 0.814 0.766
0.258 0.186 0.734
0.242 0.186 0.234
0.742 0.814 0.266
0.757 0.273 0.957
0.257 0.727 0.543
0.243 0.727 0.043
0.743 0.273 0.457
0.455 0.707 0.919
0.955 0.293 0.581
0.545 0.293 0.081
0.045 0.707 0.419
0.450 0.281 0.546
0.950 0.719 0.954
0.550 0.719 0.454
0.050 0.281 0.046
0.772 0.521 0.859
0.272 0.479 0.641
0.228 0.479 0.141
0.728 0.521 0.359
0.759 0.024 0.054
0.259 0.976 0.446
0.241 0.976 0.946
0.741 0.024 0.554
0.980 0.730 0.645
0.480 0.270 0.855
0.020 0.270 0.355
0.520 0.730 0.145
0.041 0.745 0.173
0.541 0.255 0.327
0.959 0.255 0.827
0.459 0.745 0.673
0.424 0.972 0.234
0.924 0.028 0.266
0.576 0.028 0.766
0.076 0.972 0.734
```

Summary:
The raw total energy is -5.85 eV per atom. Its energy above the lowest structure with this stoichiometry is 0 meV/atom.

---

## ZrTe3 (PBE)

Data for a relaxed ZrTe3 crystal.

Geometry as POSCAR:
```
ZrTe3
1.0
3.950 0.000 0.000
0.000 5.987 0.000
0.000 1.244 10.353
Zr Te
2 6
direct
0.250 0.717 0.663
0.750 0.283 0.337
0.250 0.557 0.175
0.750 0.443 0.825
0.250 0.082 0.172
0.750 0.918 0.828
0.250 0.238 0.555
0.750 0.762 0.445
```

Summary:
The raw total energy is -5.21 eV per atom.

---

## Si2Pb3O7 (PBE)

Data for a relaxed Si2Pb3O7 crystal.

Geometry as POSCAR:
```
Si2Pb3O7
1.0
-8.948 6.173 -9.451
-12.018 -3.403 -7.176
-13.744 4.282 -0.523
Si Pb O
12 18 42
direct
0.057 0.446 0.852
0.852 0.057 0.446
0.446 0.852 0.057
0.443 0.648 0.054
0.054 0.443 0.648
0.648 0.054 0.443
0.943 0.554 0.148
0.148 0.943 0.554
0.554 0.148 0.943
0.557 0.352 0.946
0.946 0.557 0.352
0.352 0.946 0.557
0.250 0.250 0.250
0.750 0.750 0.750
0.160 0.160 0.160
0.340 0.340 0.340
0.840 0.840 0.840
0.660 0.660 0.660
0.791 0.313 0.009
0.009 0.791 0.313
0.313 0.009 0.791
0.709 0.491 0.187
0.187 0.709 0.491
0.491 0.187 0.709
0.209 0.687 0.991
0.991 0.209 0.687
0.687 0.991 0.209
0.291 0.509 0.813
0.813 0.291 0.509
0.509 0.813 0.291
0.918 0.394 0.015
0.015 0.918 0.394
0.394 0.015 0.918
0.582 0.485 0.106
0.106 0.582 0.485
0.485 0.106 0.582
0.082 0.606 0.985
0.985 0.082 0.606
0.606 0.985 0.082
0.418 0.515 0.894
0.894 0.418 0.515
0.515 0.894 0.418
0.008 0.366 0.248
0.248 0.008 0.366
0.366 0.248 0.008
0.492 0.252 0.134
0.134 0.492 0.252
0.125 0.803 0.623
0.252 0.134 0.492
0.752 0.992 0.634
0.634 0.752 0.992
0.508 0.748 0.866
0.866 0.508 0.748
0.748 0.866 0.508
0.875 0.197 0.377
0.377 0.875 0.197
0.197 0.377 0.875
0.625 0.123 0.303
0.303 0.625 0.123
0.123 0.303 0.625
0.130 0.370 0.750
0.370 0.750 0.130
0.750 0.130 0.370
0.870 0.630 0.250
0.630 0.250 0.870
0.250 0.870 0.630
0.877 0.697 0.375
0.697 0.375 0.877
0.375 0.877 0.697
0.803 0.623 0.125
0.623 0.125 0.803
0.992 0.634 0.752
```

Summary:
The raw total energy is -6.73 eV per atom.

---

## TeMoS (PBE)

Data for a relaxed TeMoS crystal.

Geometry as POSCAR:
```
TeMoS
1.0
1.981 2.542 0.947
-2.614 -0.894 1.911
22.337 -24.514 19.098
Te Mo S
4 4 4
direct
0.333 0.667 0.331
0.667 0.333 0.669
0.667 0.333 0.768
0.333 0.667 0.232
0.333 0.667 0.718
0.333 0.667 0.094
0.667 0.333 0.906
0.667 0.333 0.282
0.333 0.667 0.946
0.667 0.333 0.054
0.667 0.333 0.134
0.333 0.667 0.866
```

Summary:
The raw total energy is -6.54 eV per atom. The total magnetic moment is 0.000 μB/f.u.